Material: Rb2Cu3P4O12F4
Method: DFT, GGA-PBE
State: relaxed

```
data_Rb2Cu3P4O12F4
_chemical_formula_sum 'Rb4 Cu6 P8 O24 F8'
_cell_length_a 7.870
_cell_length_b 9.614
_cell_length_c 9.376
_cell_angle_alpha 90.00
_cell_angle_beta 95.39
_cell_angle_gamma 90.00
_symmetry_space_group_name_H-M 'P 1 21/c 1'
_symmetry_Int_Tables_number 14
loop_
_symmetry_equiv_pos_as_xyz
'x,y,z'
'-x,-y,-z'
'-x,y+1/2,-z+1/2'
'x,-y+1/2,z+1/2'
loop_
_atom_site_label
_atom_site_type_symbol
_atom_site_fract_x
_atom_site_fract_y
_atom_site_fract_z
_atom_site_occupancy
Rb1 Rb 0.119 0.040 0.186 1
Cu1 Cu 0.388 0.646 0.316 1
Cu2 Cu 0.500 0.000 0.500 1
P1 P 0.188 0.685 0.018 1
P2 P 0.392 0.189 0.888 1
O1 O 0.182 0.669 0.179 1
O2 O 0.231 0.666 0.473 1
O3 O 0.279 0.571 0.942 1
O4 O 0.406 0.159 0.049 1
O5 O 0.444 0.080 0.786 1
O6 O 0.459 0.163 0.354 1
F1 F 0.006 0.164 0.546 1
F2 F 0.187 0.203 0.853 1
```

Output
As for the formation energy: -59.20 eV/f.u. The value obtained for the total magnetization is 2.0 μB/cell. As for the MP2020-corrected energy: -6.4858 eV/atom.

Material: CuPb2O2F2
Method: DFT, GGA-PBE
State: relaxed

```
data_CuPb2O2F2
_chemical_formula_sum 'Cu2 Pb4 O4 F4'
_cell_length_a 4.038
_cell_length_b 4.038
_cell_length_c 14.656
_cell_angle_alpha 90.00
_cell_angle_beta 90.00
_cell_angle_gamma 90.00
_symmetry_space_group_name_H-M 'I 4/m m m'
_symmetry_Int_Tables_number 139
_symmetry_space_group_name_Hall '-I 4 2'
loop_
_atom_site_label
_atom_site_type_symbol
_atom_site_fract_x
_atom_site_fract_y
_atom_site_fract_z
_atom_site_occupancy
Cu1 Cu 0.000 0.000 0.000 1
Pb1 Pb 0.000 0.000 0.332 1
O1 O 0.000 0.500 0.250 1
F1 F 0.000 0.500 0.000 1
```

Output
As for the formation energy: -11.09 eV/f.u. The value obtained for the total magnetization is 0.6 μB/cell. As for the MP2020-corrected energy: -5.1916 eV/atom. The calculation puts the offset from the most stable computed form at 0.144 eV/atom.

Material: CuPb2O2F2
Method: DFT, GGA-PBE
State: relaxed

```
data_CuPb2O2F2
_chemical_formula_sum 'Cu2 Pb4 O4 F4'
_cell_length_a 4.035
_cell_length_b 4.035
_cell_length_c 13.521
_cell_angle_alpha 90.00
_cell_angle_beta 90.00
_cell_angle_gamma 90.00
_symmetry_space_group_name_H-M 'I 4/m m m'
_symmetry_Int_Tables_number 139
_symmetry_space_group_name_Hall '-I 4 2'
loop_
_atom_site_label
_atom_site_type_symbol
_atom_site_fract_x
_atom_site_fract_y
_atom_site_fract_z
_atom_site_occupancy
Cu1 Cu 0.000 0.000 0.000 1
Pb1 Pb 0.000 0.000 0.367 1
O1 O 0.000 0.500 0.000 1
F1 F 0.000 0.500 0.250 1
```

Output
As for the formation energy: -12.10 eV/f.u. The value obtained for the total magnetization is 0.0 μB/cell. As for the MP2020-corrected energy: -5.3359 eV/atom. The calculation puts the offset from the most stable computed form at 0.000 eV/atom.

Question: Which formula does entry 1 have?
Answer: Rb2Cu3P4O12F4

Please write out number 1 again, unchanged.
Material: Rb2Cu3P4O12F4
Method: DFT, GGA-PBE
State: relaxed

```
data_Rb2Cu3P4O12F4
_chemical_formula_sum 'Rb4 Cu6 P8 O24 F8'
_cell_length_a 7.870
_cell_length_b 9.614
_cell_length_c 9.376
_cell_angle_alpha 90.00
_cell_angle_beta 95.39
_cell_angle_gamma 90.00
_symmetry_space_group_name_H-M 'P 1 21/c 1'
_symmetry_Int_Tables_number 14
loop_
_symmetry_equiv_pos_as_xyz
'x,y,z'
'-x,-y,-z'
'-x,y+1/2,-z+1/2'
'x,-y+1/2,z+1/2'
loop_
_atom_site_label
_atom_site_type_symbol
_atom_site_fract_x
_atom_site_fract_y
_atom_site_fract_z
_atom_site_occupancy
Rb1 Rb 0.119 0.040 0.186 1
Cu1 Cu 0.388 0.646 0.316 1
Cu2 Cu 0.500 0.000 0.500 1
P1 P 0.188 0.685 0.018 1
P2 P 0.392 0.189 0.888 1
O1 O 0.182 0.669 0.179 1
O2 O 0.231 0.666 0.473 1
O3 O 0.279 0.571 0.942 1
O4 O 0.406 0.159 0.049 1
O5 O 0.444 0.080 0.786 1
O6 O 0.459 0.163 0.354 1
F1 F 0.006 0.164 0.546 1
F2 F 0.187 0.203 0.853 1
```

Output
As for the formation energy: -59.20 eV/f.u. The value obtained for the total magnetization is 2.0 μB/cell. As for the MP2020-corrected energy: -6.4858 eV/atom.

Question: total magnetization of number 2 (CuPb2O2F2)?
Answer: 0.6 μB/cell